(A)
TlFeO2, relaxed, DFT PBE+U; mass density = 6056 kg/m³
1.0
5.298 -3.042 0.000
5.298 3.042 0.000
3.552 0.000 4.971
O Tl Fe
4 2 2
Direct
0.500 0.500 0.000
0.000 0.500 0.500
0.500 0.000 0.500
0.500 0.500 0.500
0.878 0.878 0.878
0.122 0.122 0.122
0.375 0.375 0.375
0.625 0.625 0.625



(B)
TlFeO2, relaxed, DFT PBE+U; mass density = 5864 kg/m³
1.0
5.660 -2.977 0.000
5.660 2.977 0.000
4.094 0.000 4.912
Fe Tl O
2 2 4
Direct
0.384 0.384 0.384
0.616 0.616 0.616
0.797 0.797 0.797
0.203 0.203 0.203
0.500 0.000 0.500
0.000 0.500 0.500
0.500 0.500 0.000
0.500 0.500 0.500



Stability summary - winner: (B); margin: 0.054 eV/atom.



(A)
YFe2O4, relaxed, DFT PBE+U; mass density = 4803 kg/m³
1.0
-1.257 -0.490 3.253
-0.633 -8.748 0.459
5.668 0.357 2.193
Fe Y O
4 2 8
Direct
0.683 0.645 0.106
0.179 0.640 0.614
0.817 0.355 0.394
0.321 0.360 0.886
0.993 0.016 0.005
0.507 0.984 0.495
0.307 0.395 0.572
0.193 0.604 0.928
0.936 0.116 0.365
0.816 0.373 0.051
0.565 0.884 0.136
0.684 0.627 0.449
0.432 0.133 0.840
0.068 0.867 0.660



(B)
YFe2O4, relaxed, DFT PBE+U; mass density = 4798 kg/m³
1.0
-1.630 -3.024 0.699
3.563 0.049 8.037
-5.257 3.058 0.701
O Fe Y
8 4 2
Direct
0.504 0.611 0.383
0.497 0.389 0.618
0.497 0.869 0.790
0.503 0.132 0.210
0.997 0.384 0.141
0.991 0.881 0.289
0.008 0.119 0.710
0.003 0.616 0.859
0.499 0.362 0.292
0.991 0.643 0.209
0.501 0.638 0.708
0.010 0.357 0.791
0.000 0.000 0.000
0.500 0.000 0.500



Stability summary - winner: (A); margin: 0.016 eV/atom.



(A)
YFe2O4, relaxed, DFT PBE+U; mass density = 4860 kg/m³
1.0
4.921 3.855 0.990
-2.793 1.983 5.322
1.229 -6.134 -0.955
O Fe Y
8 4 2
Direct
0.243 0.244 0.500
0.256 0.757 0.499
0.243 0.743 0.000
0.757 0.257 0.000
0.757 0.757 0.001
0.757 0.756 0.500
0.744 0.243 0.501
0.243 0.243 0.999
0.626 0.876 0.750
0.374 0.124 0.250
0.000 0.500 0.000
0.000 0.000 0.500
0.500 0.500 0.000
0.000 0.500 0.500



(B)
YFe2O4, relaxed, DFT PBE+U; mass density = 4890 kg/m³
1.0
0.000 4.479 4.479
4.479 0.000 4.479
4.479 4.479 0.000
O Fe Y
8 4 2
Direct
0.361 0.918 0.361
0.361 0.361 0.361
0.889 0.332 0.889
0.332 0.889 0.889
0.918 0.361 0.361
0.889 0.889 0.889
0.361 0.361 0.918
0.889 0.889 0.332
0.625 0.125 0.125
0.125 0.125 0.125
0.125 0.625 0.125
0.125 0.125 0.625
0.750 0.750 0.750
0.500 0.500 0.500



Stability summary - winner: (A); margin: 0.094 eV/atom.



(A)
YFe2O4, relaxed, DFT PBE+U; mass density = 4803 kg/m³
1.0
3.270 1.359 -0.074
0.661 3.124 1.537
4.923 -6.355 14.943
O Y Fe
8 2 4
Direct
0.354 0.353 0.937
0.562 0.562 0.307
0.438 0.438 0.693
0.645 0.645 0.063
0.145 0.145 0.563
0.065 0.068 0.807
0.854 0.854 0.437
0.937 0.938 0.193
0.000 0.000 0.000
0.500 0.500 0.500
0.105 0.105 0.680
0.394 0.392 0.820
0.605 0.606 0.180
0.894 0.895 0.320



(B)
YFe2O4, relaxed, DFT PBE+U; mass density = 4781 kg/m³
1.0
0.775 2.054 2.743
-8.038 -1.388 3.313
3.403 -4.492 2.403
O Y Fe
8 2 4
Direct
0.500 0.615 0.356
0.000 0.613 0.891
0.500 0.128 0.209
0.500 0.879 0.788
0.000 0.121 0.712
0.500 0.387 0.609
0.000 0.385 0.144
0.000 0.872 0.291
0.500 0.005 0.505
0.000 0.995 0.995
0.000 0.642 0.210
0.000 0.359 0.788
0.500 0.641 0.713
0.500 0.358 0.290



(C)
YFe2O4, relaxed, DFT PBE+U; mass density = 4799 kg/m³
1.0
1.793 -3.016 0.000
3.427 -0.004 8.024
-5.112 -3.038 1.520
Y O Fe
2 8 4
Direct
0.001 0.997 0.997
0.499 0.003 0.503
0.311 0.378 0.552
0.565 0.870 0.152
0.060 0.880 0.647
0.803 0.393 0.080
0.935 0.130 0.348
0.697 0.606 0.420
0.189 0.622 0.948
0.440 0.120 0.853
0.820 0.361 0.391
0.680 0.639 0.109
0.321 0.359 0.890
0.179 0.641 0.610



(D)
YFe2O4, relaxed, DFT PBE+U; mass density = 5270 kg/m³
1.0
-2.876 2.876 5.040
2.876 -2.876 5.040
2.876 2.876 -5.040
O Y Fe
8 2 4
Direct
0.146 0.596 0.849
0.604 0.654 0.651
0.746 0.297 0.151
0.346 0.996 0.950
0.047 0.396 0.050
0.703 0.854 0.450
0.404 0.254 0.550
0.004 0.953 0.349
0.000 0.000 0.000
0.750 0.250 0.500
0.375 0.625 0.750
0.375 0.625 0.250
0.875 0.625 0.250
0.375 0.125 0.750



Stability summary - winner: (C); margin: 0.009 eV/atom.



(A)
ZnFeO2, relaxed, DFT PBE+U; mass density = 5046 kg/m³
1.0
3.011 0.000 0.000
-1.416 -8.065 0.000
-1.373 0.191 -8.308
Zn O Fe
4 8 4
Direct
0.637 0.082 0.752
0.911 0.740 0.589
0.363 0.918 0.248
0.089 0.260 0.411
0.056 0.907 0.767
0.178 0.737 0.070
0.944 0.093 0.233
0.829 0.763 0.362
0.822 0.263 0.930
0.392 0.599 0.699
0.608 0.401 0.301
0.171 0.237 0.638
0.811 0.416 0.735
0.189 0.584 0.265
0.380 0.238 0.086
0.620 0.762 0.914



(B)
ZnFeO2, relaxed, DFT PBE+U; mass density = 5572 kg/m³
1.0
-1.270 0.814 2.620
-5.422 -5.154 -2.264
5.763 -5.053 2.662
O Fe Zn
8 4 4
Direct
0.237 0.700 0.772
0.885 0.657 0.100
0.575 0.697 0.411
0.206 0.035 0.324
0.175 0.342 0.953
0.861 0.358 0.262
0.821 0.978 0.668
0.461 0.319 0.630
0.189 0.800 0.564
0.701 0.512 0.839
0.849 0.223 0.471
0.382 0.500 0.192
0.455 0.164 0.801
0.584 0.861 0.231
0.954 0.143 0.107
0.858 0.870 0.900



(C)
ZnFeO2, relaxed, DFT PBE+U; mass density = 4900 kg/m³
1.0
3.093 0.000 0.000
-0.101 8.030 0.000
-0.660 -0.022 8.365
O Zn Fe
8 4 4
Direct
0.746 0.107 0.278
0.333 0.424 0.237
0.667 0.576 0.763
0.254 0.893 0.722
0.011 0.760 0.078
0.289 0.234 0.620
0.989 0.240 0.922
0.711 0.766 0.380
0.738 0.753 0.606
0.158 0.420 0.767
0.262 0.247 0.394
0.842 0.580 0.233
0.478 0.757 0.927
0.783 0.087 0.719
0.522 0.243 0.073
0.217 0.913 0.281



(D)
ZnFeO2, relaxed, DFT PBE+U; mass density = 5613 kg/m³
1.0
1.492 7.828 0.000
-1.492 7.828 0.000
0.000 5.974 7.765
O Zn Fe
8 4 4
Direct
0.473 0.473 0.253
0.164 0.164 0.157
0.527 0.527 0.747
0.144 0.144 0.901
0.793 0.793 0.577
0.836 0.836 0.843
0.207 0.207 0.423
0.856 0.856 0.099
0.987 0.987 0.393
0.686 0.686 0.295
0.314 0.314 0.705
0.013 0.013 0.607
0.155 0.155 0.677
0.845 0.845 0.323
0.373 0.373 0.952
0.627 0.627 0.048



Stability summary - winner: (C); margin: 0.020 eV/atom.



(A)
ZnFe2O5, relaxed, DFT PBE+U; mass density = 4334 kg/m³
1.0
3.295 0.000 0.000
0.000 5.048 0.000
0.000 0.000 11.842
O Fe Zn
10 4 2
Direct
0.500 0.126 0.814
0.000 0.874 0.314
0.000 0.105 0.000
0.000 0.596 0.909
0.000 0.874 0.686
0.500 0.895 0.500
0.500 0.404 0.409
0.000 0.596 0.091
0.500 0.126 0.186
0.500 0.404 0.591
0.000 0.941 0.148
0.500 0.059 0.648
0.000 0.941 0.852
0.500 0.059 0.352
0.000 0.596 0.500
0.500 0.404 0.000



(B)
ZnFe2O5, relaxed, DFT PBE+U; mass density = 3921 kg/m³
1.0
1.879 -5.249 0.000
1.879 5.249 0.000
0.000 0.000 11.038
Fe O Zn
4 10 2
Direct
0.203 0.797 0.400
0.797 0.203 0.600
0.797 0.203 0.900
0.203 0.797 0.100
0.752 0.248 0.076
0.248 0.752 0.924
0.963 0.037 0.862
0.037 0.963 0.138
0.693 0.307 0.750
0.752 0.248 0.424
0.307 0.693 0.250
0.248 0.752 0.576
0.037 0.963 0.362
0.963 0.037 0.638
0.894 0.106 0.250
0.106 0.894 0.750



Stability summary - winner: (B); margin: 0.007 eV/atom.



(A)
Li2Mn3GaO8, relaxed, DFT PBE+U; mass density = 4273 kg/m³
1.0
4.101 -4.210 0.044
0.000 4.255 -4.258
8.232 4.195 4.198
O Mn Li Ga
16 6 4 2
Direct
0.707 0.861 0.888
0.706 0.346 0.388
0.248 0.650 0.111
0.746 0.097 0.615
0.254 0.904 0.385
0.256 0.409 0.885
0.247 0.097 0.611
0.256 0.347 0.385
0.747 0.150 0.115
0.744 0.591 0.115
0.254 0.850 0.886
0.744 0.653 0.615
0.293 0.139 0.112
0.752 0.350 0.889
0.294 0.654 0.612
0.753 0.903 0.389
0.500 0.000 0.500
0.500 0.500 0.000
0.500 0.000 0.000
0.500 0.500 0.500
0.000 0.000 0.500
0.000 0.500 0.000
0.885 0.445 0.681
0.884 0.941 0.181
0.116 0.059 0.819
0.116 0.555 0.319
0.500 0.248 0.250
0.500 0.752 0.750



(B)
Li2Mn3GaO8, relaxed, DFT PBE+U; mass density = 4247 kg/m³
1.0
-1.624 -5.625 -0.790
1.006 -3.955 4.273
-4.543 -2.186 3.082
O Li Mn Ga
8 2 3 1
Direct
0.740 0.292 0.740
0.260 0.260 0.708
0.739 0.739 0.739
0.708 0.260 0.260
0.740 0.740 0.292
0.260 0.708 0.260
0.292 0.740 0.740
0.261 0.261 0.261
0.878 0.878 0.878
0.122 0.122 0.122
0.500 0.500 0.000
0.500 0.000 0.500
0.000 0.500 0.500
0.500 0.500 0.500



Stability summary - winner: (A); margin: 0.016 eV/atom.